Entry from the Materials Project: a geometry-optimized LaNdAl6 structure (r2SCAN).

Properties
* space group: No. 187
* total DFT energy (no corrections): -12.933 eV per atom

a = 6.6027 Å, b = 6.6027 Å, c = 4.6104 Å
α = 90.00°, β = 90.00°, γ = 120.00°
Atoms (fractional coordinates):
La  0.3333  0.6667  0.0000
Nd  0.6667  0.3333  0.5000
Al  0.8619  0.1381  0.0000
Al  0.8619  0.7238  0.0000
Al  0.2762  0.1381  0.0000
Al  0.1368  0.8632  0.5000
Al  0.1368  0.2735  0.5000
Al  0.7265  0.8632  0.5000